Record 1
Compound: La5Cu6S7O4
Source: Materials Project
Functional: PBE-GGA
Structure: optimized geometry

abc: 12.1141 12.1141 12.1141
angles: 153.30 99.25 86.89
With the nearest neighbours (Å) after each atom.
Atoms (fractional coordinates):
La: 0.4286 0.6786 0.7501  4 O 2.38
O: 0.5927 0.0001 0.0928  4 La 2.34-2.38
Cu: 0.6536 0.7513 0.4277  4 S 2.32-2.46, 1 Cu 2.60
Cu: 0.3464 0.7741 0.0977  4 S 2.32-2.46, 1 Cu 2.60
S: 0.5143 0.5881 0.9267  4 Cu 2.40-2.46
S: 0.6553 0.9054 0.7501  4 Cu 2.39
S: 0.0046 0.5395 0.0349  2 S 2.80, 4 La 2.99-3.07
La: 0.7535 0.8220 0.9322  4 O 2.34-2.44
Cu: 0.1764 0.2487 0.4024  4 S 2.32-2.46, 1 Cu 2.60
La: 0.2465 0.1787 0.0685  4 O 2.34-2.44
S: 0.1614 0.5881 0.5737  4 Cu 2.40-2.46
S: 0.3447 0.0948 0.2501  4 Cu 2.39
O: 0.2195 0.5003 0.2203  4 La 2.34-2.44
Cu: 0.0000 0.2442 0.2442  4 S 2.39-2.40, 2 Cu 2.60
Cu: 0.5000 0.7560 0.2560  4 S 2.39-2.40, 2 Cu 2.60
Cu: 0.8236 0.7513 0.5977  4 S 2.32-2.46, 1 Cu 2.60
O: 0.2199 0.0008 0.7203  4 La 2.34-2.44
O: 0.4073 0.0001 0.9073  4 La 2.34-2.38
Cu: 0.1764 0.7741 0.9277  4 S 2.32-2.46, 1 Cu 2.60
S: 0.8386 0.4123 0.4267  4 Cu 2.40-2.46
Cu: 0.5000 0.2442 0.7442  4 S 2.39-2.40, 2 Cu 2.60
S: 0.9875 0.0779 0.9104  4 Cu 2.36-2.39
S: 0.3325 0.9229 0.4104  4 Cu 2.36-2.39
S: 0.8074 0.5576 0.2502  4 Cu 2.32
O: 0.7805 0.0008 0.2808  4 La 2.34-2.44
O: 0.5927 0.5001 0.5928  4 La 2.34-2.38
O: 0.7801 0.5003 0.7808  4 La 2.34-2.44
S: 0.6675 0.0779 0.5904  4 Cu 2.36-2.39
Cu: 0.6536 0.2260 0.9024  4 S 2.32-2.46, 1 Cu 2.60
La: 0.0609 0.6714 0.3974  2 O 2.34-2.35
S: 0.9954 0.0304 0.5349  2 S 2.80, 4 La 2.99-3.07
La: 0.2260 0.3365 0.8974  2 O 2.34-2.35
S: 0.4857 0.4123 0.0737  4 Cu 2.40-2.46
S: 0.1926 0.4428 0.7502  4 Cu 2.32
La: 0.5714 0.3215 0.2501  4 O 2.38
La: 0.3898 0.8220 0.5685  4 O 2.34-2.44
Cu: 0.3464 0.2487 0.5724  4 S 2.32-2.46, 1 Cu 2.60
O: 0.4073 0.5001 0.4073  4 La 2.34-2.38
La: 0.7740 0.6714 0.1106  2 O 2.34-2.35
S: 0.0125 0.9229 0.0904  4 Cu 2.36-2.39
La: 0.6102 0.1787 0.4322  4 O 2.34-2.44
Cu: 0.0000 0.7560 0.7560  4 S 2.39-2.40, 2 Cu 2.60
La: 0.9391 0.3365 0.6106  2 O 2.34-2.35
Cu: 0.8236 0.2260 0.0724  4 S 2.32-2.46, 1 Cu 2.60

The raw total energy is -137.01 eV per formula unit. As for the energy of formation from the pure elements: -2.057 eV per atom. The volume comes out at 772 Å³/cell.

Record 2
Compound: La3CuS3O2
Source: Materials Project
Functional: PBE-GGA
Structure: optimized geometry

abc: 3.9426 12.5742 14.0789
angles: 90.00 90.00 90.00
With the nearest neighbours (Å) after each atom.
Atoms (fractional coordinates):
O: 0.2500 0.0067 0.0735  4 La 2.31-2.43
La: 0.2500 0.0957 0.6318  1 O 2.34
La: 0.7500 0.8877 0.7919  3 O 2.31-2.40
O: 0.7500 0.9933 0.9265  4 La 2.31-2.43
O: 0.7500 0.4935 0.7290  4 La 2.34-2.52
S: 0.7500 0.5677 0.0870  2 Cu 2.37
La: 0.2500 0.4043 0.1318  1 O 2.34
S: 0.2500 0.7119 0.7184  1 Cu 2.38
S: 0.7500 0.2119 0.7816  1 Cu 2.38
O: 0.2500 0.5065 0.2710  4 La 2.34-2.52
O: 0.7500 0.5067 0.4265  4 La 2.31-2.43
S: 0.7500 0.2881 0.2816  1 Cu 2.38
S: 0.2500 0.7360 0.4442  1 Cu 2.30
S: 0.2500 0.0677 0.4130  2 Cu 2.37
S: 0.2500 0.7640 0.9442  1 Cu 2.30
La: 0.2500 0.1123 0.2081  3 O 2.31-2.40
La: 0.2500 0.3877 0.7081  3 O 2.31-2.40
S: 0.7500 0.2640 0.5558  1 Cu 2.30
Cu: 0.2500 0.8283 0.5855  4 S 2.30-2.38
S: 0.2500 0.7881 0.2184  1 Cu 2.38
La: 0.7500 0.9043 0.3682  1 O 2.34
Cu: 0.7500 0.3283 0.9145  4 S 2.30-2.38
La: 0.7500 0.5996 0.5775  4 O 2.38-2.52
S: 0.7500 0.9323 0.5870  2 Cu 2.37
La: 0.7500 0.6123 0.2919  3 O 2.31-2.40
S: 0.7500 0.2360 0.0558  1 Cu 2.30
O: 0.2500 0.4933 0.5735  4 La 2.31-2.43
La: 0.7500 0.5957 0.8682  1 O 2.34
O: 0.2500 0.9935 0.7710  4 La 2.34-2.52
S: 0.2500 0.4323 0.9130  2 Cu 2.37
La: 0.2500 0.0996 0.9225  4 O 2.38-2.52
O: 0.7500 0.0065 0.2290  4 La 2.34-2.52
Cu: 0.7500 0.1717 0.4145  4 S 2.30-2.38
La: 0.2500 0.4004 0.4225  4 O 2.38-2.52
La: 0.7500 0.9004 0.0775  4 O 2.38-2.52
Cu: 0.2500 0.6717 0.0855  4 S 2.30-2.38

The raw total energy is -63.01 eV per formula unit. As for the energy of formation from the pure elements: -2.742 eV per atom. The volume comes out at 698 Å³/cell.

Record 3
Compound: La2CuS2O
Source: Materials Project
Functional: PBE-GGA
Structure: optimized geometry

abc: 4.3714 4.3714 13.5891
angles: 90.00 90.00 90.00
With the nearest neighbours (Å) after each atom.
Atoms (fractional coordinates):
O: 0.5000 0.5000 0.5000  2 La 2.13
Cu: 0.5000 0.5000 0.0000  2 S 2.09
La: 0.5000 0.5000 0.3429  1 O 2.13
S: 0.5000 0.5000 0.8459  1 Cu 2.09
S: 0.5000 0.5000 0.1541  1 Cu 2.09
La: 0.5000 0.5000 0.6571  1 O 2.13

The raw total energy is -31.41 eV per formula unit. As for the energy of formation from the pure elements: -0.986 eV per atom. The volume comes out at 260 Å³/cell.

Record 4
Compound: La4Cu4SeS3O4
Source: Materials Project
Functional: PBE-GGA
Structure: optimized geometry

abc: 5.6773 5.6773 8.5897
angles: 90.00 90.00 90.00
With the nearest neighbours (Å) after each atom.
Atoms (fractional coordinates):
S: 0.0000 0.5000 0.6582  4 Cu 2.42
Cu: 0.7515 0.7515 0.5010  3 S 2.42, 1 Se 2.50
O: 0.7502 0.7502 0.9993  4 La 2.36-2.37
S: 0.0000 0.0000 0.3417  4 Cu 2.42
O: 0.2498 0.7502 0.9993  4 La 2.36-2.37
Cu: 0.2485 0.2485 0.5010  3 S 2.42, 1 Se 2.50
La: 0.0000 0.0000 0.8536  4 O 2.36
O: 0.2498 0.2498 0.9993  4 La 2.36-2.37
S: 0.5000 0.0000 0.6582  4 Cu 2.42
Cu: 0.2485 0.7515 0.5010  3 S 2.42, 1 Se 2.50
La: 0.5000 0.0000 0.1455  4 O 2.37
Cu: 0.7515 0.2485 0.5010  3 S 2.42, 1 Se 2.50
La: 0.0000 0.5000 0.1455  4 O 2.37
Se: 0.5000 0.5000 0.3292  4 Cu 2.50
O: 0.7502 0.2498 0.9993  4 La 2.36-2.37
La: 0.5000 0.5000 0.8536  4 O 2.37

The raw total energy is -104.57 eV per formula unit. As for the energy of formation from the pure elements: -2.312 eV per atom. The volume comes out at 277 Å³/cell.

Record 5
Compound: La5Ti2CuS5O7
Source: Materials Project
Functional: PBE-GGA
Structure: optimized geometry

abc: 3.9675 18.2493 19.5397
angles: 90.00 90.00 90.00
With the nearest neighbours (Å) after each atom.
Atoms (fractional coordinates):
S: 0.7500 0.4053 0.9688  1 Cu 2.35
Cu: 0.7500 0.1464 0.3587  4 S 2.35-2.38
S: 0.2500 0.5947 0.0312  1 Cu 2.35
S: 0.7500 0.7089 0.1728  2 Cu 2.37, 1 Ti 2.38
Ti: 0.2500 0.1728 0.8784  4 O 1.87-2.01
Ti: 0.2500 0.3869 0.1972  5 O 1.81-2.01
La: 0.2500 0.4987 0.8934  3 O 2.44-2.55
Ti: 0.2500 0.3272 0.3784  4 O 1.87-2.01
O: 0.2500 0.2902 0.1757  1 Ti 1.81
S: 0.7500 0.5329 0.5676  1 Ti 2.76, 5 La 2.98-3.03, 2 O 3.00-3.04
O: 0.7500 0.5762 0.8942  1 Ti 1.91
La: 0.2500 0.6224 0.4870  4 O 2.50-2.67
O: 0.7500 0.1575 0.8806  2 Ti 2.00
O: 0.7500 0.7902 0.3243  1 Ti 1.81
S: 0.2500 0.3811 0.6302  5 La 2.89-3.03, 2 O 3.23
S: 0.7500 0.9671 0.0676  1 Ti 2.76, 5 La 2.98-3.03, 2 O 3.00-3.04
O: 0.7500 0.3425 0.3806  2 Ti 2.00
Cu: 0.7500 0.3536 0.8587  4 S 2.35-2.38
O: 0.2500 0.7456 0.4254  4 La 2.34-2.55
Cu: 0.2500 0.6464 0.1413  4 S 2.35-2.38
La: 0.7500 0.2891 0.6951  3 O 2.44-2.48
S: 0.7500 0.0947 0.4688  1 Cu 2.35
S: 0.2500 0.5464 0.2195  1 Cu 2.38
O: 0.2500 0.2098 0.6757  1 Ti 1.81
La: 0.2500 0.7109 0.3049  3 O 2.44-2.48
O: 0.7500 0.2456 0.0746  4 La 2.34-2.55
O: 0.2500 0.9040 0.2996  2 Ti 2.01
La: 0.7500 0.5013 0.1066  3 O 2.44-2.55
O: 0.7500 0.2544 0.5746  4 La 2.34-2.55
O: 0.2500 0.6575 0.6194  2 Ti 2.00
O: 0.2500 0.5960 0.7996  2 Ti 2.01
S: 0.7500 0.7911 0.6728  2 Cu 2.37, 1 Ti 2.38
O: 0.2500 0.1076 0.7956  2 Ti 1.93-2.01
La: 0.7500 0.4697 0.3186  4 O 2.48-2.62
O: 0.2500 0.7544 0.9254  4 La 2.34-2.55
O: 0.2500 0.4238 0.1058  1 Ti 1.91
S: 0.2500 0.0329 0.9324  1 Ti 2.76, 5 La 2.98-3.03, 2 O 3.00-3.04
S: 0.2500 0.9053 0.5312  1 Cu 2.35
S: 0.7500 0.0464 0.2805  1 Cu 2.38
Cu: 0.2500 0.8536 0.6413  4 S 2.35-2.38
La: 0.7500 0.1224 0.0130  4 O 2.50-2.67
O: 0.7500 0.8062 0.0279  1 Ti 1.87
La: 0.2500 0.5303 0.6814  4 O 2.48-2.62
La: 0.2500 0.1965 0.5416  4 O 2.34-2.53
S: 0.2500 0.2089 0.3272  2 Cu 2.37, 1 Ti 2.38
La: 0.7500 0.6965 0.9584  4 O 2.34-2.53
O: 0.7500 0.4040 0.2004  2 Ti 2.01
La: 0.2500 0.7891 0.8049  3 O 2.44-2.48
S: 0.2500 0.2911 0.8272  2 Cu 2.37, 1 Ti 2.38
O: 0.2500 0.3062 0.4721  1 Ti 1.87
Ti: 0.7500 0.6131 0.8028  5 O 1.81-2.01
O: 0.7500 0.9238 0.3942  1 Ti 1.91
La: 0.7500 0.9987 0.6066  3 O 2.44-2.55
S: 0.7500 0.8811 0.8698  5 La 2.89-3.03, 2 O 3.23
La: 0.7500 0.0303 0.8186  4 O 2.48-2.62
S: 0.7500 0.6189 0.3698  5 La 2.89-3.03, 2 O 3.23
La: 0.7500 0.8035 0.4584  4 O 2.34-2.53
Ti: 0.7500 0.8272 0.1216  4 O 1.87-2.01
La: 0.2500 0.0013 0.3934  3 O 2.44-2.55
La: 0.2500 0.8776 0.9870  4 O 2.50-2.67
S: 0.2500 0.1189 0.1302  5 La 2.89-3.03, 2 O 3.23
O: 0.2500 0.8425 0.1194  2 Ti 2.00
O: 0.7500 0.0960 0.7004  2 Ti 2.01
O: 0.7500 0.6076 0.7044  2 Ti 1.93-2.01
La: 0.7500 0.2109 0.1951  3 O 2.44-2.48
S: 0.2500 0.9536 0.7195  1 Cu 2.38
O: 0.7500 0.8924 0.2044  2 Ti 1.93-2.01
Ti: 0.7500 0.6728 0.6216  4 O 1.87-2.01
O: 0.2500 0.1938 0.9721  1 Ti 1.87
S: 0.7500 0.4536 0.7805  1 Cu 2.38
Ti: 0.2500 0.1131 0.6972  5 O 1.81-2.01
La: 0.2500 0.3035 0.0416  4 O 2.34-2.53
O: 0.2500 0.0762 0.6058  1 Ti 1.91
O: 0.7500 0.7098 0.8243  1 Ti 1.81
La: 0.7500 0.3776 0.5130  4 O 2.50-2.67
S: 0.2500 0.4671 0.4324  1 Ti 2.76, 5 La 2.98-3.03, 2 O 3.00-3.04
Ti: 0.7500 0.8869 0.3028  5 O 1.81-2.01
O: 0.7500 0.6938 0.5279  1 Ti 1.87
La: 0.2500 0.9697 0.1814  4 O 2.48-2.62
O: 0.2500 0.3924 0.2956  2 Ti 1.93-2.01

The raw total energy is -154.14 eV per formula unit. As for the energy of formation from the pure elements: -3.079 eV per atom. The volume comes out at 1415 Å³/cell.

Record 6
Compound: SrLaCuSbO6
Source: Materials Project
Functional: PBE-GGA
Structure: optimized geometry

abc: 5.5639 5.5169 10.1862
angles: 58.16 90.00 90.00
With the nearest neighbours (Å) after each atom.
Atoms (fractional coordinates):
Sb: 0.2493 0.4991 0.0004  6 O 1.98-2.04
O: 0.7280 0.3465 0.7248  1 Sb 1.98
O: 0.5278 0.1739 0.5445  1 Cu 2.00, 1 Sb 2.03
O: 0.0422 0.2435 0.5506  1 Cu 2.02, 1 Sb 2.03
O: 0.2368 0.6295 0.7775  1 Sb 1.99
Cu: 0.7526 0.0049 0.9978  4 O 2.00-2.02
O: 0.0405 0.8391 0.9526  1 Cu 2.01, 1 Sb 2.04
La: 0.2899 0.2253 0.7539  6 O 2.38-2.65
O: 0.9595 0.8391 0.4526  1 Cu 2.01, 1 Sb 2.04
Sb: 0.7507 0.4991 0.5004  6 O 1.98-2.04
O: 0.9578 0.2435 0.0506  1 Cu 2.02, 1 Sb 2.03
O: 0.2720 0.3465 0.2248  1 Sb 1.98
O: 0.4709 0.7723 0.4498  1 Cu 2.02, 1 Sb 2.03
O: 0.4722 0.1739 0.0445  1 Cu 2.00, 1 Sb 2.03
O: 0.5291 0.7723 0.9498  1 Cu 2.02, 1 Sb 2.03
Sr: 0.7816 0.7657 0.7481  6 O 2.46-2.74
O: 0.7632 0.6295 0.2775  1 Sb 1.99
La: 0.7101 0.2253 0.2539  6 O 2.38-2.65
Sr: 0.2184 0.7657 0.2481  6 O 2.46-2.74
Cu: 0.2474 0.0049 0.4978  4 O 2.00-2.02

The raw total energy is -65.70 eV per formula unit. As for the energy of formation from the pure elements: -2.528 eV per atom. The volume comes out at 266 Å³/cell.

no.,magnetization (Bohr magnetons per cell)
1,0.01
2,0.00
3,0.57
4,0.00
5,0.08
6,2.01